[1]
Nd, relaxed, DFT meta-GGA r2SCAN; ΔE to the lowest computed polymorph = 11.1 kJ per mole of atoms; calculated formation energy = 0.12 eV per atom; symmetry = Im-3m; final energy = -29.303 eV/atom
1.0
3.389 0.000 -1.198
-1.695 2.935 -1.198
0.000 0.000 3.595
Nd
1
Cartesian
0.000 0.000 0.000

[2]
Nd, relaxed, DFT meta-GGA r2SCAN; ΔE to the lowest computed polymorph = 0.0 kJ per mole of atoms; calculated formation energy = 0.00 eV per atom; symmetry = P6_3/mmc; final energy = -29.418 eV/atom
1.0
-2.411 1.845 2.133
2.022 -2.756 1.443
8.524 7.777 2.909
Nd
4
Cartesian
0.000 0.000 0.000
4.262 3.888 1.454
2.675 0.722 2.400
5.460 6.144 4.084

[3]
Nd, relaxed, DFT meta-GGA r2SCAN; ΔE to the lowest computed polymorph = 1.0 kJ per mole of atoms; calculated formation energy = 0.01 eV per atom; symmetry = R-3m; final energy = -29.407 eV/atom
1.0
-2.290 1.257 -2.661
-1.318 -0.695 3.418
2.131 7.723 4.427
Nd
3
Cartesian
0.000 0.000 0.000
-1.365 3.390 0.163
-0.112 4.895 5.020

[4]
Nd, relaxed, DFT meta-GGA r2SCAN; ΔE to the lowest computed polymorph = 0.9 kJ per mole of atoms; calculated formation energy = 0.01 eV per atom; symmetry = Fm-3m; final energy = -29.408 eV/atom
1.0
3.190 0.000 1.842
1.063 3.008 1.842
0.000 0.000 3.684
Nd
1
Cartesian
0.000 0.000 0.000

[5]
NdNi5, relaxed, DFT meta-GGA r2SCAN; calculated formation energy = -0.25 eV per atom; symmetry = P6/mmm; final energy = -15.135 eV/atom
1.0
4.911 0.000 0.000
-2.455 4.253 0.000
0.000 0.000 3.928
Nd Ni
1 5
Cartesian
0.000 0.000 0.000
-1.228 2.126 1.964
0.000 2.835 0.000
2.455 1.418 0.000
2.455 0.000 1.964
1.228 2.126 1.964

[6]
NdNi3, relaxed, DFT meta-GGA r2SCAN; calculated formation energy = -0.27 eV per atom; symmetry = R-3m; final energy = -16.608 eV/atom
1.0
-2.499 -4.326 -0.001
2.499 -4.326 -0.001
0.000 -2.882 8.168
Nd Ni
3 9
Cartesian
0.000 -2.884 4.773
0.000 -8.650 3.393
0.000 0.000 0.000
1.247 -5.050 6.202
0.000 -7.209 6.202
-1.247 -5.050 6.202
-1.247 -6.485 1.963
0.000 -4.326 1.964
1.247 -6.485 1.963
0.000 -2.884 0.010
0.000 -8.651 8.155
0.000 -5.767 4.083